# Na3SmP2O8 | the Materials Project database | GGA-PBE | relaxed
data_Na3SmP2O8
_cell_length_a 14.0224
_cell_length_b 5.3702
_cell_length_c 18.7235
_cell_angle_alpha 90.00
_cell_angle_beta 90.00
_cell_angle_gamma 90.00
_symmetry_space_group_name_H-M 'P 1'
_symmetry_Int_Tables_number 1
loop_
_symmetry_equiv_pos_as_xyz
'x,y,z'
loop_
_atom_site_label
_atom_site_fract_x
_atom_site_fract_y
_atom_site_fract_z
Na1 0.0318 0.0385 0.1050
Na2 0.0478 0.4913 0.3445
Na3 0.1132 0.9993 0.4432
Na4 0.1377 0.4946 0.1646
Na5 0.2031 0.9775 0.2628
Na6 0.2164 0.5113 0.5000
Na7 0.2836 0.5113 0.0000
Na8 0.2969 0.9775 0.7628
Na9 0.3623 0.4946 0.6646
Na10 0.3868 0.9993 0.9432
Na11 0.4522 0.4913 0.8445
Na12 0.4682 0.0385 0.6050
Na13 0.5318 0.9615 0.1050
Na14 0.5478 0.5087 0.3445
Na15 0.6132 0.0007 0.4432
Na16 0.6377 0.5054 0.1646
Na17 0.7031 0.0225 0.2628
Na18 0.7164 0.4887 0.5000
Na19 0.7836 0.4887 0.0000
Na20 0.7969 0.0225 0.7628
Na21 0.8623 0.5054 0.6646
Na22 0.8868 0.0007 0.9432
Na23 0.9522 0.5087 0.8445
Na24 0.9682 0.9615 0.6050
Sm1 0.1129 0.4289 0.6900
Sm2 0.1368 0.0565 0.9186
Sm3 0.3632 0.0565 0.4186
Sm4 0.3871 0.4289 0.1900
Sm5 0.6129 0.5711 0.6900
Sm6 0.6368 0.9435 0.9186
Sm7 0.8632 0.9435 0.4186
Sm8 0.8871 0.5711 0.1900
P1 0.0228 0.9774 0.7683
P2 0.0246 0.5308 0.0121
P3 0.2263 0.5107 0.8398
P4 0.2265 0.9617 0.5964
P5 0.2737 0.5107 0.3398
P6 0.2735 0.9617 0.0964
P7 0.4754 0.5308 0.5121
P8 0.4772 0.9774 0.2683
P9 0.5228 0.0226 0.7683
P10 0.5246 0.4692 0.0121
P11 0.7265 0.0383 0.5964
P12 0.7263 0.4893 0.8398
P13 0.7735 0.0383 0.0964
P14 0.7737 0.4893 0.3398
P15 0.9754 0.4692 0.5121
P16 0.9772 0.0226 0.2683
O1 0.0015 0.5025 0.0932
O2 0.0040 0.2722 0.2317
O3 0.0075 0.0280 0.3482
O4 0.0293 0.8048 0.2294
O5 0.0370 0.8136 0.9935
O6 0.0549 0.5860 0.4657
O7 0.1174 0.4625 0.8428
O8 0.1203 0.3896 0.9986
O9 0.1308 0.1048 0.6083
O10 0.1317 0.0278 0.7645
O11 0.1938 0.0798 0.1419
O12 0.2129 0.6811 0.6178
O13 0.2227 0.2960 0.3810
O14 0.2413 0.5088 0.2603
O15 0.2465 0.7630 0.3746
O16 0.2492 0.9714 0.5149
O17 0.2508 0.9714 0.0149
O18 0.2535 0.7630 0.8746
O19 0.2587 0.5088 0.7603
O20 0.2773 0.2960 0.8810
O21 0.2871 0.6811 0.1178
O22 0.3062 0.0798 0.6419
O23 0.3683 0.0278 0.2645
O24 0.3692 0.1048 0.1083
O25 0.3797 0.3896 0.4986
O26 0.3826 0.4625 0.3428
O27 0.4451 0.5860 0.9657
O28 0.4630 0.8136 0.4935
O29 0.4707 0.8048 0.7294
O30 0.4925 0.0280 0.8482
O31 0.4960 0.2722 0.7317
O32 0.4985 0.5025 0.5932
O33 0.5015 0.4975 0.0932
O34 0.5040 0.7278 0.2317
O35 0.5075 0.9720 0.3482
O36 0.5293 0.1952 0.2294
O37 0.5370 0.1864 0.9935
O38 0.5549 0.4140 0.4657
O39 0.6174 0.5375 0.8428
O40 0.6203 0.6104 0.9986
O41 0.6308 0.8952 0.6083
O42 0.6317 0.9722 0.7645
O43 0.6938 0.9202 0.1419
O44 0.7129 0.3189 0.6178
O45 0.7227 0.7040 0.3810
O46 0.7413 0.4912 0.2603
O47 0.7465 0.2370 0.3746
O48 0.7492 0.0286 0.5149
O49 0.7508 0.0286 0.0149
O50 0.7535 0.2370 0.8746
O51 0.7587 0.4912 0.7603
O52 0.7773 0.7040 0.8810
O53 0.7871 0.3189 0.1178
O54 0.8062 0.9202 0.6419
O55 0.8683 0.9722 0.2645
O56 0.8692 0.8952 0.1083
O57 0.8797 0.6104 0.4986
O58 0.8826 0.5375 0.3428
O59 0.9451 0.4140 0.9657
O60 0.9630 0.1864 0.4935
O61 0.9707 0.1952 0.7294
O62 0.9925 0.9720 0.8482
O63 0.9960 0.7278 0.7317
O64 0.9985 0.4975 0.5932
# Formation energy = -41.2 eV per formula unit